Arrangement i

Compound: CeNb3O9
Source: the Materials Project
Functional: PBE-GGA
Structure: relaxed

Calculated values
The total magnetization is 2.84 μB/cell. The calculation puts the calculated volume at 1524.9 Å³/cell.

abc: 17.9743 7.9018 11.3332
angles: 90.00 108.68 90.00
Closest atoms and distances in Å follow each position.
Space group C2/m (No. 12)
Symmetry-distinct sites (fractional):
Ce 0.0000 0.0000 0.0000 (multiplicity 2)  12 O 2.60-2.72
Ce 0.0000 0.5000 0.0000 (multiplicity 2)  12 O 2.66-2.77
Ce 0.1687 0.0000 0.3381 (multiplicity 4)  12 O 2.62-2.90
Nb 0.0030 0.2534 0.7420 (multiplicity 8)  6 O 1.92-2.13
Nb 0.1657 0.2501 0.5840 (multiplicity 8)  6 O 1.97-2.03
Nb 0.1714 0.2533 0.0840 (multiplicity 8)  6 O 1.94-2.09
O 0.0057 0.5000 0.2378 (multiplicity 4)  2 Nb 1.97
O 0.0087 0.0000 0.2337 (multiplicity 4)  2 Nb 2.04
O 0.0758 0.2536 0.9234 (multiplicity 8)  2 Nb 2.05-2.06
O 0.0785 0.2424 0.1567 (multiplicity 8)  2 Nb 2.09-2.13
O 0.0840 0.2497 0.6660 (multiplicity 8)  2 Nb 1.92-1.97
O 0.0875 0.2321 0.4101 (multiplicity 8)  2 Nb 1.96-2.03
O 0.1532 0.0000 0.0894 (multiplicity 4)  2 Nb 2.03
O 0.1569 0.5000 0.0868 (multiplicity 4)  2 Nb 1.97
O 0.1731 0.0000 0.5719 (multiplicity 4)  2 Nb 1.99
O 0.1765 0.5000 0.5787 (multiplicity 4)  2 Nb 1.99
O 0.2445 0.2322 0.2534 (multiplicity 8)  2 Nb 1.96-2.03
O 0.2500 0.2500 0.0000 (multiplicity 4)  2 Nb 1.94
O 0.2500 0.2500 0.5000 (multiplicity 4)  2 Nb 2.03


Arrangement ii

Compound: CeNb3O9
Source: the Materials Project
Functional: PBE-GGA
Structure: relaxed

Calculated values
The total magnetization is 3.42 μB/cell. The calculation puts the calculated volume at 751.6 Å³/cell.

abc: 5.6010 9.7626 13.7463
angles: 90.34 90.17 90.17
Closest atoms and distances in Å follow each position.
Space group P-1 (No. 2)
Symmetry-distinct sites (fractional):
Ce 0.2367 0.4216 0.4218 (multiplicity 2)  6 O 2.32-2.53
Ce 0.2407 0.0833 0.0818 (multiplicity 2)  6 O 2.36-2.63
Nb 0.2487 0.0835 0.8251 (multiplicity 2)  5 O 1.90-2.09
Nb 0.2493 0.4121 0.6745 (multiplicity 2)  5 O 1.92-2.10
Nb 0.2490 0.7356 0.0017 (multiplicity 2)  5 O 1.92-2.12
Nb 0.2503 0.0881 0.3340 (multiplicity 2)  6 O 1.98-2.05
Nb 0.2513 0.7655 0.4954 (multiplicity 2)  5 O 1.88-2.09
Nb 0.2538 0.4193 0.1663 (multiplicity 2)  6 O 1.97-2.05
O 0.9999 0.3205 0.5903 (multiplicity 2)  2 Nb 2.01-2.02
O 0.0016 0.8398 0.0792 (multiplicity 2)  2 Nb 2.02-2.06
O 0.0032 0.3462 0.0743 (multiplicity 2)  2 Nb 1.92-2.01
O 0.0041 0.1751 0.4167 (multiplicity 2)  2 Nb 1.96-1.98
O 0.0041 0.9828 0.2555 (multiplicity 2)  2 Nb 1.90-2.02
O 0.0062 0.4943 0.2557 (multiplicity 2)  2 Nb 1.95-1.99
O 0.1759 0.5659 0.5660 (multiplicity 2)  2 Nb 2.16-2.22, 1 Ce 2.32
O 0.1814 0.9166 0.9157 (multiplicity 2)  2 Nb 2.09-2.17
O 0.2081 0.2380 0.2387 (multiplicity 2)  2 Nb 1.98-2.05
O 0.2998 0.2577 0.7573 (multiplicity 2)  2 Nb 1.92-1.97
O 0.3018 0.5884 0.0918 (multiplicity 2)  2 Nb 1.93-1.97
O 0.3015 0.9238 0.4203 (multiplicity 2)  2 Nb 1.88-2.02
O 0.4871 0.0160 0.2328 (multiplicity 2)  2 Nb 1.94-2.05
O 0.4867 0.2068 0.4058 (multiplicity 2)  2 Nb 2.01
O 0.4866 0.3043 0.0889 (multiplicity 2)  2 Nb 1.98-2.02
O 0.4868 0.4696 0.2731 (multiplicity 2)  2 Nb 2.00-2.02
O 0.5003 0.1228 0.9395 (multiplicity 2)  2 Nb 2.12-2.14
O 0.5004 0.3697 0.5654 (multiplicity 2)  2 Nb 2.09-2.10


Stability verdict: arrangement ii, ahead by 18 meV/atom